VASP calculation (meta-GGA r2SCAN) on an optimized crystal structure of Eu2MgTl.

Geometry as POSCAR:
```
Eu2MgTl
1.0
-1.753 -4.920 2.103
-3.926 -2.984 -2.717
1.396 -4.815 -2.563
Tl Mg Eu
1 1 2
Direct
0.000 0.000 0.000
0.500 0.500 0.500
0.250 0.250 0.250
0.750 0.750 0.750
```

Results
Its size of the total moment is 3.553 μB per atom. The space group is Fm-3m. The calculation puts the formation energy at -0.306 eV per atom.